DFT (r²SCAN) results for Sr2B4Rh5 after structural relaxation.

Its electronic total energy is -748.92 eV for the cell shown. Its size of the total moment is 0.00 Bohr magnetons per cell. As for the crystal system: orthorhombic. The value obtained for the volume is 157.2 Å³/f.u.

a = 5.542 Å, b = 10.078 Å, c = 11.261 Å
α = 90.00°, β = 90.00°, γ = 90.00°
Space group Fmmm (No. 69)
Asymmetric unit:
Sr  0.000  0.000  0.144 x8
B  0.000  0.165  0.372 x16
Rh  0.000  0.000  0.500 x4
Rh  0.250  0.250  0.000 x8
Rh  0.250  0.250  0.250 x8